No. 1
Ca8Mn7CrO22 after structural relaxation. Source: the Materials Project, functional PBE+U.

a = 10.8497 Å, b = 10.8538 Å, c = 15.5168 Å
α = 89.68°, β = 89.78°, γ = 89.13°
Last column: nearest neighbours and their distance in Å.
Space group P1 (No. 1)
One atom of each set of equivalent atoms:
1 Ca 0.0000 0.0000 0.0000 [1 per cell]  5 O 2.26-2.50
2 Ca 0.0001 0.0041 0.5338 [1 per cell]  5 O 2.26-2.51
3 Ca 0.0001 0.0309 0.7671 [1 per cell]  6 O 2.36-2.62
4 Ca 0.0028 0.5283 0.7635 [1 per cell]  4 O 2.35-2.40
5 Ca 0.0188 0.0454 0.2654 [1 per cell]  6 O 2.32-2.49
6 Ca 0.2399 0.7775 0.7616 [1 per cell]  5 O 2.33-2.55
7 Ca 0.2415 0.7403 0.9973 [1 per cell]  6 O 2.31-2.46
8 Ca 0.2448 0.2810 0.7665 [1 per cell]  6 O 2.36-2.59
9 Ca 0.2475 0.2893 0.2763 [1 per cell]  6 O 2.33-2.53
10 Ca 0.2466 0.7340 0.5188 [1 per cell]  7 O 2.36-2.61
11 Ca 0.2492 0.2486 0.5296 [1 per cell]  5 O 2.30-2.55
12 Ca 0.2501 0.2441 0.0043 [1 per cell]  4 O 2.29-2.51
13 Ca 0.2594 0.7338 0.2763 [1 per cell]  6 O 2.26-2.49
14 Ca 0.4928 0.4778 0.5190 [1 per cell]  6 O 2.36-2.64
15 Ca 0.4927 0.5058 0.2810 [1 per cell]  4 O 2.25-2.49
16 Ca 0.4990 0.0055 0.0012 [1 per cell]  5 O 2.25-2.50
17 Ca 0.4986 0.4743 0.0058 [1 per cell]  6 O 2.36-2.53
18 Ca 0.5006 0.0049 0.5343 [1 per cell]  5 O 2.26-2.50
19 Ca 0.5024 0.0323 0.7674 [1 per cell]  6 O 2.35-2.59
20 Ca 0.5035 0.5250 0.7629 [1 per cell]  4 O 2.34-2.42
21 Ca 0.5160 0.0518 0.2646 [1 per cell]  6 O 2.33-2.43
22 Ca 0.7425 0.7449 0.9935 [1 per cell]  5 O 2.26-2.48
23 Ca 0.7431 0.7766 0.7614 [1 per cell]  5 O 2.36-2.58
24 Ca 0.7439 0.2799 0.7669 [1 per cell]  6 O 2.35-2.61
25 Ca 0.7468 0.2412 0.0059 [1 per cell]  5 O 2.32-2.57
26 Ca 0.7477 0.2893 0.2697 [1 per cell]  6 O 2.35-2.59
27 Ca 0.7501 0.2490 0.5293 [1 per cell]  5 O 2.30-2.55
28 Ca 0.7501 0.7344 0.5193 [1 per cell]  7 O 2.38-2.63
29 Ca 0.7720 0.7315 0.2816 [1 per cell]  6 O 2.24-2.50
30 Ca 0.9921 0.4795 0.5184 [1 per cell]  5 O 2.35-2.48
31 Ca 0.9954 0.5103 0.2852 [1 per cell]  4 O 2.23-2.49
32 Ca 0.9964 0.4752 0.0046 [1 per cell]  6 O 2.33-2.55
33 Mn 0.0033 0.2520 0.3936 [1 per cell]  6 O 1.91-2.11
34 Mn 0.0508 0.7748 0.1490 [1 per cell]  4 O 1.92-2.09
35 Mn 0.2473 0.0086 0.6457 [1 per cell]  6 O 1.93-1.98
36 Mn 0.2480 0.0064 0.8875 [1 per cell]  6 O 1.94-2.01
37 Mn 0.2481 0.0296 0.1369 [1 per cell]  4 O 1.86-1.93
38 Mn 0.2482 0.5096 0.8892 [1 per cell]  6 O 1.94-2.02
39 Mn 0.2483 0.5111 0.6420 [1 per cell]  6 O 1.92-2.01
40 Mn 0.2662 0.0148 0.4058 [1 per cell]  4 O 1.88-1.91
41 Mn 0.4921 0.7578 0.8811 [1 per cell]  5 O 1.92-1.97
42 Mn 0.4951 0.7600 0.6377 [1 per cell]  6 O 1.91-2.08
43 Mn 0.4969 0.2588 0.8885 [1 per cell]  6 O 1.92-2.02
44 Mn 0.4967 0.2646 0.1423 [1 per cell]  6 O 1.94-2.11
45 Mn 0.4988 0.2598 0.6449 [1 per cell]  6 O 1.94-2.01
46 Mn 0.5039 0.2524 0.3942 [1 per cell]  6 O 1.93-2.10
47 Mn 0.7419 0.5003 0.1363 [1 per cell]  5 O 1.92-2.01
48 Mn 0.7450 0.5012 0.3977 [1 per cell]  5 O 1.90-1.99
49 Mn 0.7470 0.0065 0.8880 [1 per cell]  6 O 1.94-2.00
50 Mn 0.7468 0.0085 0.6455 [1 per cell]  6 O 1.92-1.98
51 Mn 0.7493 0.0199 0.1385 [1 per cell]  4 O 1.93-2.03
52 Mn 0.7495 0.5098 0.8892 [1 per cell]  6 O 1.95-2.00
53 Mn 0.7496 0.5110 0.6422 [1 per cell]  6 O 1.95-2.00
54 Mn 0.7655 0.0167 0.4051 [1 per cell]  4 O 1.89-1.90
55 Mn 0.9935 0.7513 0.3952 [1 per cell]  5 O 1.90-2.06
56 Mn 0.9951 0.2570 0.1404 [1 per cell]  6 O 1.98-2.17
57 Mn 0.9963 0.7586 0.8882 [1 per cell]  5 O 1.92-2.00
58 Mn 0.9958 0.7606 0.6400 [1 per cell]  6 O 1.95-2.08
59 Mn 0.9973 0.2577 0.8887 [1 per cell]  6 O 1.92-2.01
60 Mn 0.9989 0.2596 0.6452 [1 per cell]  6 O 1.94-2.00
61 Cr 0.2314 0.4992 0.1375 [1 per cell]  4 O 1.80-2.00
62 Cr 0.2464 0.5017 0.3982 [1 per cell]  6 O 1.97-2.10
63 Cr 0.4892 0.7450 0.3965 [1 per cell]  4 O 1.88-2.04
64 Cr 0.5606 0.7738 0.1602 [1 per cell]  4 O 1.74-1.87
65 O 0.0222 0.7814 0.0272 [1 per cell]  1 Mn 1.92
66 O 0.0348 0.2563 0.0158 [1 per cell]  2 Mn 1.98-2.01
67 O 0.0349 0.2557 0.5189 [1 per cell]  2 Mn 1.98-2.00
68 O 0.0361 0.7904 0.5104 [1 per cell]  2 Mn 1.90-2.08
69 O 0.0815 0.4351 0.1550 [1 per cell]  1 Cr 1.80
70 O 0.1009 0.9068 0.6630 [1 per cell]  2 Mn 1.97-2.00
71 O 0.1040 0.3932 0.3769 [1 per cell]  1 Mn 1.91, 1 Cr 1.99
72 O 0.1035 0.4039 0.8712 [1 per cell]  2 Mn 1.98-1.99
73 O 0.1038 0.9036 0.8721 [1 per cell]  2 Mn 1.95-1.99
74 O 0.1074 0.4022 0.6634 [1 per cell]  2 Mn 1.97-1.98
75 O 0.1385 0.6530 0.3805 [1 per cell]  1 Mn 1.90, 1 Cr 2.02
76 O 0.1419 0.1530 0.6666 [1 per cell]  2 Mn 1.95
77 O 0.1426 0.1519 0.8716 [1 per cell]  2 Mn 1.95
78 O 0.1444 0.6573 0.6578 [1 per cell]  2 Mn 1.95-1.97
79 O 0.1445 0.6564 0.8709 [1 per cell]  2 Mn 1.96
80 O 0.1563 0.1376 0.3637 [1 per cell]  2 Mn 1.89-2.11
81 O 0.1567 0.1680 0.1699 [1 per cell]  2 Mn 1.86-2.04
82 O 0.1593 0.9098 0.1991 [1 per cell]  2 Mn 1.89-2.05
83 O 0.2051 0.5129 0.5218 [1 per cell]  1 Mn 1.92, 1 Cr 1.97
84 O 0.2054 0.5183 0.0107 [1 per cell]  1 Mn 1.94, 1 Cr 2.00
85 O 0.2117 0.0247 0.5221 [1 per cell]  2 Mn 1.90-1.96
86 O 0.2132 0.6694 0.1402 [1 per cell]  1 Cr 1.86
87 O 0.2196 0.0055 0.0154 [1 per cell]  2 Mn 1.93-2.01
88 O 0.2779 0.5051 0.2643 [1 per cell]  2 Cr 2.03-2.10
89 O 0.2892 0.5036 0.7664 [1 per cell]  2 Mn 1.96-1.98
90 O 0.2897 0.9935 0.7658 [1 per cell]  2 Mn 1.93-1.95
91 O 0.3362 0.8561 0.3922 [1 per cell]  1 Mn 1.88, 1 Cr 2.04
92 O 0.3437 0.3715 0.1156 [1 per cell]  1 Cr 1.86, 1 Mn 2.05
93 O 0.3518 0.8670 0.6160 [1 per cell]  2 Mn 1.95-1.96
94 O 0.3540 0.3490 0.4142 [1 per cell]  1 Mn 1.95, 1 Cr 2.03
95 O 0.3550 0.3677 0.9104 [1 per cell]  2 Mn 1.94-1.96
96 O 0.3567 0.8664 0.9094 [1 per cell]  2 Mn 1.92-1.94
97 O 0.3579 0.3696 0.6225 [1 per cell]  2 Mn 1.95-1.96
98 O 0.3873 0.1186 0.9067 [1 per cell]  2 Mn 1.96-1.98
99 O 0.3880 0.1199 0.6281 [1 per cell]  2 Mn 1.97-1.98
100 O 0.3930 0.6044 0.4118 [1 per cell]  2 Cr 1.88-1.97
101 O 0.3926 0.6170 0.9166 [1 per cell]  2 Mn 1.96-2.02
102 O 0.3935 0.6172 0.6134 [1 per cell]  2 Mn 1.95-2.01
103 O 0.4086 0.0937 0.1330 [1 per cell]  2 Mn 1.89-2.11
104 O 0.4225 0.0932 0.3995 [1 per cell]  2 Mn 1.91-1.95
105 O 0.4565 0.7439 0.7573 [1 per cell]  2 Mn 1.91-1.97
106 O 0.4603 0.2598 0.2673 [1 per cell]  2 Mn 1.98-2.03
107 O 0.4614 0.2553 0.7674 [1 per cell]  2 Mn 1.92-1.94
108 O 0.4697 0.7315 0.2545 [1 per cell]  1 Cr 1.82
109 O 0.4946 0.7981 0.0598 [1 per cell]  1 Cr 1.74
110 O 0.5306 0.2568 0.0163 [1 per cell]  2 Mn 1.99-2.02
111 O 0.5362 0.2540 0.5180 [1 per cell]  2 Mn 1.95-2.01
112 O 0.5382 0.7906 0.5084 [1 per cell]  1 Cr 1.89, 1 Mn 2.08
113 O 0.5783 0.4214 0.1545 [1 per cell]  2 Mn 1.94-2.00
114 O 0.6003 0.9064 0.6629 [1 per cell]  2 Mn 1.97-2.01
115 O 0.6019 0.9008 0.8770 [1 per cell]  2 Mn 1.97
116 O 0.6041 0.4039 0.8740 [1 per cell]  2 Mn 1.98
117 O 0.6059 0.3939 0.3754 [1 per cell]  2 Mn 1.93-1.95
118 O 0.6072 0.4020 0.6612 [1 per cell]  2 Mn 1.97-1.98
119 O 0.6387 0.6491 0.3757 [1 per cell]  1 Cr 1.94, 1 Mn 1.99
120 O 0.6414 0.1511 0.8730 [1 per cell]  2 Mn 1.94-1.96
121 O 0.6417 0.1528 0.6662 [1 per cell]  2 Mn 1.95
122 O 0.6427 0.6571 0.8737 [1 per cell]  2 Mn 1.96-1.97
123 O 0.6449 0.6571 0.6555 [1 per cell]  2 Mn 1.95-1.98
124 O 0.6463 0.1656 0.1659 [1 per cell]  2 Mn 1.97
125 O 0.6498 0.9007 0.2105 [1 per cell]  1 Cr 1.87, 1 Mn 2.03
126 O 0.6563 0.1394 0.3618 [1 per cell]  2 Mn 1.89-2.10
127 O 0.7000 0.6811 0.1441 [1 per cell]  1 Cr 1.82, 1 Mn 2.01
128 O 0.7076 0.5108 0.5184 [1 per cell]  2 Mn 1.92-1.98
129 O 0.7115 0.0245 0.5215 [1 per cell]  2 Mn 1.90-1.97
130 O 0.7124 0.5237 0.0142 [1 per cell]  2 Mn 1.94-1.98
131 O 0.7182 0.9979 0.0153 [1 per cell]  2 Mn 1.96-2.00
132 O 0.7822 0.5063 0.2616 [1 per cell]  2 Mn 2.00-2.15
133 O 0.7863 0.5040 0.7664 [1 per cell]  2 Mn 1.95-1.97
134 O 0.7862 0.9948 0.7655 [1 per cell]  2 Mn 1.92-1.95
135 O 0.8390 0.8585 0.3951 [1 per cell]  2 Mn 1.89-2.03
136 O 0.8443 0.3570 0.1168 [1 per cell]  2 Mn 1.92-1.98
137 O 0.8511 0.8660 0.6189 [1 per cell]  2 Mn 1.95-1.96
138 O 0.8521 0.3530 0.4123 [1 per cell]  2 Mn 1.98
139 O 0.8552 0.3664 0.9115 [1 per cell]  2 Mn 1.95-1.96
140 O 0.8563 0.8661 0.9061 [1 per cell]  2 Mn 1.92-1.94
141 O 0.8589 0.3690 0.6229 [1 per cell]  2 Mn 1.94-1.95
142 O 0.8835 0.6056 0.4092 [1 per cell]  2 Mn 1.90-2.01
143 O 0.8870 0.1180 0.9083 [1 per cell]  2 Mn 1.97-1.98
144 O 0.8882 0.1194 0.6276 [1 per cell]  2 Mn 1.97-1.98
145 O 0.8922 0.6175 0.9149 [1 per cell]  2 Mn 1.96-2.00
146 O 0.8943 0.6171 0.6159 [1 per cell]  2 Mn 1.96-2.00
147 O 0.9176 0.0737 0.1350 [1 per cell]  1 Mn 1.93
148 O 0.9212 0.0950 0.4002 [1 per cell]  2 Mn 1.90-1.94
149 O 0.9592 0.2531 0.7678 [1 per cell]  2 Mn 1.92-1.95
150 O 0.9591 0.7461 0.7626 [1 per cell]  2 Mn 1.95-2.00
151 O 0.9623 0.2555 0.2659 [1 per cell]  2 Mn 1.98-2.03
152 O 0.9800 0.7413 0.2627 [1 per cell]  2 Mn 1.96-2.06

ρ: 4.03 g cm⁻³
energy above the lowest structure with this stoichiometry: 0.000 eV/atom
formation energy from the elements: -2529.9 meV per atom

***

No. 2
Cs2CaTm2W4O16 after structural relaxation. Source: the Materials Project, functional PBE+U.

a = 7.5713 Å, b = 7.9320 Å, c = 7.9959 Å
α = 63.64°, β = 62.88°, γ = 62.63°
Last column: nearest neighbours and their distance in Å.
Space group P1 (No. 1)
One atom of each set of equivalent atoms:
1 Cs 0.0000 0.0000 0.0000 [1 per cell]  5 O 2.72-2.99, 1 Ca 2.88
2 Cs 0.0139 0.4635 0.4722 [1 per cell]  6 O 2.81-3.08
3 Ca 0.7195 0.2415 0.2601 [1 per cell]  3 O 2.26-2.39
4 Tm 0.4431 0.5651 0.4636 [1 per cell]  5 O 2.17-2.36
5 Tm 0.4533 0.0361 0.0534 [1 per cell]  4 O 2.18-2.34
6 W 0.4847 0.5544 0.9415 [1 per cell]  5 O 1.88-2.08
7 W 0.4892 0.9540 0.5688 [1 per cell]  5 O 1.90-2.09
8 W 0.9751 0.5490 0.9699 [1 per cell]  5 O 1.88-2.02
9 W 0.9972 0.9345 0.5654 [1 per cell]  5 O 1.82-1.99
10 O 0.1298 0.2780 0.0435 [1 per cell]  1 W 1.88
11 O 0.1328 0.6193 0.6787 [1 per cell]  2 W 2.02-2.15, 1 Tm 2.17
12 O 0.1715 0.6116 0.0032 [1 per cell]  2 W 1.92-2.05
13 O 0.1836 0.9929 0.6202 [1 per cell]  2 W 1.93-2.05
14 O 0.2365 0.8707 0.3340 [1 per cell]  1 W 1.97
15 O 0.4347 0.5093 0.2181 [1 per cell]  1 W 1.96
16 O 0.4447 0.2098 0.5681 [1 per cell]  1 W 1.90
17 O 0.4452 0.8443 0.8795 [1 per cell]  2 W 2.03-2.15
18 O 0.5364 0.6647 0.6269 [1 per cell]  2 W 2.02-2.17
19 O 0.5399 0.3053 0.9229 [1 per cell]  1 W 1.88
20 O 0.5459 0.0175 0.2838 [1 per cell]  1 W 1.98, 1 Tm 2.18
21 O 0.7612 0.5822 0.2070 [1 per cell]  1 W 1.88
22 O 0.7971 0.4773 0.9125 [1 per cell]  2 W 1.96-2.08
23 O 0.8110 0.8922 0.4895 [1 per cell]  2 W 1.97-2.09
24 O 0.8277 0.8651 0.8486 [1 per cell]  2 W 1.99-2.17
25 O 0.8510 0.1983 0.4900 [1 per cell]  1 W 1.82

ρ: 7.49 g cm⁻³
formation energy from the elements: -2591.6 meV per atom

***

> Which value of formation energy from the elements does entry 1 give?

-2529.9 meV per atom

***

> What is the formula in the first record?

Ca8Mn7CrO22

***

> Number 2 is which compound?

Cs2CaTm2W4O16

***

> Which value of formation energy from the elements does entry 2 give?

-2591.6 meV per atom